1) VASP calculation (GGA-PBE) on crystalline Sn2P3O10 at its relaxed geometry.

abc: 12.6258 8.0385 9.7747
angles: 90.00 103.43 90.00
Closest atoms and distances in Å follow each position.
Space group P2_1/c (No. 14)
Unique sites:
Sn  0.0910  0.1078  0.2336  3 O 2.15-2.28
Sn  0.3528  0.5523  0.5480  4 O 2.05-2.20
P  0.1490  0.7179  0.5450  4 O 1.51-1.64
P  0.2354  0.0746  0.5920  4 O 1.50-1.61
P  0.4471  0.5809  0.2276  4 O 1.52-1.62
O  0.0265  0.7199  0.5021  1 P 1.51
O  0.1882  0.6032  0.1214  2 P 1.60-1.64
O  0.1930  0.1980  0.6832  1 P 1.51
O  0.1986  0.5827  0.6582  1 P 1.57
O  0.2127  0.6918  0.4292  1 P 1.55
O  0.2184  0.1135  0.4380  1 P 1.50
O  0.3648  0.0671  0.6572  2 P 1.61-1.62
O  0.4192  0.7241  0.1248  1 P 1.52
O  0.4327  0.6089  0.3781  1 P 1.54
O  0.4358  0.0218  0.2632  1 P 1.54

Magnetization   1.00 μB per formula unit


2) VASP calculation (GGA-PBE) on crystalline Sn2P3O10 at its relaxed geometry.

abc: 5.1649 9.4613 9.4118
angles: 90.00 102.27 90.00
Closest atoms and distances in Å follow each position.
Space group P2_1/m (No. 11)
Unique sites:
Sn  0.0482  0.0431  0.3407  3 O 2.13-2.21
P  0.2633  0.2500  0.8527  4 O 1.51-1.59
P  0.4485  0.2500  0.1792  4 O 1.53-1.62
P  0.4872  0.7500  0.4094  4 O 1.52-1.62
O  0.1056  0.1138  0.8312  1 P 1.51
O  0.2328  0.2500  0.4897  1 P 1.55
O  0.2536  0.7500  0.7465  1 P 1.55
O  0.3061  0.1138  0.2070  1 P 1.53
O  0.3433  0.6144  0.4303  1 P 1.52
O  0.4574  0.2500  0.0086  2 P 1.59-1.62
O  0.4852  0.2500  0.7588  2 P 1.59-1.62

Magnetization   0.00 μB per formula unit


Going by the energies, 2) is most stable and the next is 0.049 eV/atom up.


1) VASP calculation (GGA-PBE) on crystalline Sn2P3O10 at its relaxed geometry.

abc: 11.2283 10.5561 10.1916
angles: 90.00 119.84 90.00
Closest atoms and distances in Å follow each position.
Space group C2/c (No. 15)
Unique sites:
Sn  0.1623  0.0163  0.0935  4 O 2.14-2.32
P  0.0000  0.4038  0.7500  4 O 1.52-1.60
P  0.1662  0.2405  0.6660  4 O 1.52-1.65
O  0.0258  0.3114  0.6427  2 P 1.60-1.65
O  0.1266  0.4815  0.8508  1 P 1.52
O  0.1325  0.1923  0.5106  1 P 1.52
O  0.1876  0.1201  0.7645  1 P 1.56
O  0.2192  0.1615  0.2612  1 P 1.53

Magnetization   0.99 μB per formula unit


2) VASP calculation (GGA-PBE) on crystalline Sn2P3O10 at its relaxed geometry.

abc: 12.0137 10.1679 9.6053
angles: 90.00 118.74 90.00
Closest atoms and distances in Å follow each position.
Space group C2/c (No. 15)
Unique sites:
Sn  0.1812  0.0393  0.0842  4 O 2.16-2.37
P  0.0000  0.3973  0.7500  4 O 1.51-1.60
P  0.1463  0.2272  0.6476  4 O 1.53-1.65
O  0.0173  0.2984  0.6318  2 P 1.60-1.65
O  0.1114  0.1755  0.4825  1 P 1.53
O  0.1183  0.4780  0.8481  1 P 1.51
O  0.1763  0.1045  0.7566  1 P 1.56
O  0.2492  0.3328  0.7120  1 P 1.53

Magnetization   1.00 μB per formula unit


Going by the energies, 1) is most stable and the next is 0.019 eV/atom up.


1) VASP calculation (GGA-PBE) on crystalline SnP2O7 at its relaxed geometry.

abc: 7.0568 8.8361 9.5428
angles: 90.00 107.35 90.00
Closest atoms and distances in Å follow each position.
Space group P2_1/c (No. 14)
Unique sites:
Sn  0.1973  0.0716  0.2996  5 O 2.00-2.07
P  0.0323  0.7167  0.9700  4 O 1.54-1.55
P  0.4089  0.7404  0.2446  3 O 1.47-1.57
O  0.0008  0.1273  0.1074  1 P 1.55
O  0.0212  0.5882  0.8591  1 P 1.54
O  0.1300  0.2029  0.4522  1 P 1.54
O  0.2433  0.7146  0.0820  2 P 1.55-1.66
O  0.3811  0.6301  0.3519  1 P 1.47
O  0.3877  0.5877  0.7792  1 P 1.57
O  0.3960  0.2359  0.3007  1 P 1.56

Magnetization   0.00 μB per formula unit


2) VASP calculation (GGA-PBE) on crystalline SnP2O7 at its relaxed geometry.

abc: 8.4212 5.2446 13.7445
angles: 90.00 109.15 90.00
Closest atoms and distances in Å follow each position.
Space group P2_1/c (No. 14)
Unique sites:
Sn  0.2359  0.2470  0.1427  6 O 2.05-2.07
P  0.1962  0.7353  0.9772  4 O 1.52-1.60
P  0.3236  0.7346  0.7988  4 O 1.51-1.60
O  0.0205  0.7051  0.4044  1 P 1.52
O  0.2190  0.5528  0.2312  1 P 1.53
O  0.2200  0.0445  0.5124  1 P 1.54
O  0.2415  0.0273  0.2679  1 P 1.53
O  0.2592  0.5848  0.5688  1 P 1.52
O  0.3229  0.7155  0.4138  2 P 1.60
O  0.4931  0.2377  0.6942  1 P 1.51


3) VASP calculation (GGA-PBE) on crystalline SnP2O7 at its relaxed geometry.

abc: 8.3503 8.3503 8.3503
angles: 90.00 90.00 90.00
Closest atoms and distances in Å follow each position.
Space group Pa-3 (No. 205)
Unique sites:
Sn  0.0000  0.0000  0.0000  6 O 2.03
P  0.1100  0.6100  0.8900  4 O 1.52-1.59
O  0.0000  0.0000  0.5000  2 P 1.59
O  0.0519  0.7187  0.4060  1 P 1.52

Magnetization   0.00 μB per formula unit


Going by the energies, 2) is most stable and the next is 0.037 eV/atom up.


1) VASP calculation (GGA-PBE) on crystalline SnP2O7 at its relaxed geometry.

abc: 6.4733 6.5361 7.0318
angles: 88.39 65.99 84.88
Closest atoms and distances in Å follow each position.
Space group P-1 (No. 2)
Unique sites:
Sn  0.0945  0.1571  0.2844  6 O 2.02-2.22
P  0.2271  0.6363  0.2533  4 O 1.47-1.64
P  0.3393  0.8870  0.8499  4 O 1.52-1.59
O  0.0522  0.8318  0.3796  1 P 1.64
O  0.0702  0.4663  0.2624  1 P 1.55
O  0.2219  0.8405  0.7095  1 P 1.52
O  0.2351  0.0885  0.9739  1 P 1.54
O  0.3098  0.7080  0.0138  2 P 1.59-1.62
O  0.4084  0.1074  0.2895  1 P 1.53
O  0.4141  0.5891  0.3186  1 P 1.47

Magnetization   0.00 μB per formula unit


2) VASP calculation (GGA-PBE) on crystalline SnP2O7 at its relaxed geometry.

abc: 8.7498 5.1749 13.7599
angles: 90.00 115.63 90.00
Closest atoms and distances in Å follow each position.
Space group P2_1/c (No. 14)
Unique sites:
Sn  0.2353  0.2457  0.4740  6 O 2.04-2.07
P  0.1913  0.7486  0.1175  4 O 1.52-1.60
P  0.3299  0.7424  0.3605  4 O 1.51-1.60
O  0.0176  0.6598  0.6048  1 P 1.53
O  0.1917  0.0372  0.5880  1 P 1.53
O  0.2051  0.5708  0.8758  1 P 1.54
O  0.2718  0.5815  0.5619  1 P 1.52
O  0.2814  0.0417  0.8629  1 P 1.53
O  0.3190  0.7171  0.7422  2 P 1.60
O  0.4890  0.1876  0.5652  1 P 1.51


Going by the energies, 2) is most stable and the next is 0.109 eV/atom up.